(1)
Below is crystalline NaCdFeP2O8 at its relaxed geometry, with properties calculated at the GGA+U level.

Results
calculated density	3.2	g/cm3
total moment	0.36	μB/atom

a b c (Å): 8.405 9.036 17.964
angles (deg): 96.42 112.41 105.81
Fractional positions:
Cd (0.807, 0.828, 0.749)
Cd (0.221, 0.555, 0.912)
Cd (0.208, 0.353, 0.373)
Cd (0.968, 0.594, 0.514)
Cd (0.374, 0.591, 0.269)
Cd (0.371, 0.198, 0.917)
O (0.140, 0.555, 0.311)
O (0.937, 0.948, 0.390)
O (0.859, 0.149, 0.847)
O (0.070, 0.436, 0.448)
O (0.056, 0.111, 0.540)
O (0.079, 0.940, 0.949)
O (0.142, 0.805, 0.622)
O (0.541, 0.865, 0.726)
O (0.849, 0.344, 0.754)
O (0.841, 0.009, 0.141)
O (0.305, 0.979, 0.817)
O (0.915, 0.728, 0.234)
O (0.155, 0.733, 0.693)
O (0.109, 0.262, 0.239)
O (0.447, 0.109, 0.690)
O (0.730, 0.634, 0.624)
O (0.140, 0.252, 0.074)
O (0.519, 0.693, 0.971)
O (0.650, 0.182, 0.904)
O (0.894, 0.080, 0.715)
O (0.493, 0.532, 0.472)
O (0.382, 0.373, 0.020)
O (0.224, 0.974, 0.294)
O (0.150, 0.304, 0.838)
O (0.963, 0.425, 0.944)
O (0.598, 0.915, 0.281)
O (0.415, 0.518, 0.156)
O (0.549, 0.443, 0.900)
O (0.143, 0.683, 0.816)
O (0.833, 0.697, 0.998)
O (0.244, 0.970, 0.107)
O (0.487, 0.763, 0.566)
O (0.214, 0.731, 0.349)
O (0.699, 0.642, 0.811)
O (0.505, 0.198, 0.239)
O (0.780, 0.264, 0.178)
O (0.623, 0.710, 0.859)
O (0.889, 0.122, 0.290)
O (0.423, 0.024, 0.025)
O (0.899, 0.468, 0.085)
O (0.743, 0.777, 0.475)
O (0.708, 0.506, 0.402)
O (0.231, 0.195, 0.465)
O (0.200, 0.743, 0.202)
O (0.218, 0.926, 0.505)
O (0.404, 0.480, 0.591)
O (0.212, 0.732, 0.013)
O (0.027, 0.405, 0.585)
Na (0.934, 0.489, 0.676)
Na (0.837, 0.489, 0.300)
Na (0.555, 0.383, 0.720)
Na (0.935, 0.993, 0.039)
Na (0.843, 0.984, 0.581)
Na (0.685, 0.744, 0.122)
P (0.119, 0.792, 0.266)
P (0.783, 0.050, 0.346)
P (0.529, 0.607, 0.568)
P (0.859, 0.247, 0.929)
P (0.232, 0.912, 0.017)
P (0.114, 0.038, 0.475)
P (0.626, 0.620, 0.935)
P (0.905, 0.161, 0.205)
P (0.942, 0.226, 0.781)
P (0.327, 0.360, 0.092)
P (0.609, 0.621, 0.416)
P (0.129, 0.822, 0.775)
Fe (0.516, 0.173, 0.136)
Fe (0.387, 0.904, 0.619)
Fe (0.377, 0.989, 0.232)
Fe (0.015, 0.602, 0.050)
Fe (0.138, 0.337, 0.531)
Fe (0.519, 0.032, 0.786)



(2)
Below is crystalline NaCdFeP2O8 at its relaxed geometry, with properties calculated at the GGA+U level.

Results
calculated density	4.0	g/cm3
total moment	0.38	μB/atom

a b c (Å): 6.585 8.984 17.786
angles (deg): 91.85 106.24 107.15
Fractional positions:
Na (0.764, 0.014, 0.993)
Na (0.005, 0.501, 0.247)
Na (0.999, 0.499, 0.751)
Na (0.744, 0.734, 0.132)
Na (0.750, 0.013, 0.493)
Na (0.498, 0.500, 0.753)
O (0.119, 0.196, 0.593)
O (0.819, 0.421, 0.031)
O (0.897, 0.019, 0.667)
O (0.650, 0.184, 0.095)
O (0.749, 0.257, 0.769)
O (0.407, 0.824, 0.902)
O (0.198, 0.286, 0.234)
O (0.097, 0.977, 0.828)
O (0.531, 0.155, 0.867)
O (0.715, 0.431, 0.361)
O (0.467, 0.841, 0.633)
O (0.405, 0.342, 0.509)
O (0.043, 0.746, 0.589)
O (0.808, 0.715, 0.764)
O (0.964, 0.259, 0.420)
O (0.818, 0.387, 0.529)
O (0.545, 0.146, 0.372)
O (0.457, 0.853, 0.130)
O (0.328, 0.058, 0.209)
O (0.814, 0.716, 0.278)
O (0.668, 0.945, 0.290)
O (0.312, 0.531, 0.857)
O (0.596, 0.661, 0.990)
O (0.908, 0.017, 0.177)
O (0.686, 0.464, 0.642)
O (0.606, 0.175, 0.594)
O (0.866, 0.809, 0.906)
O (0.662, 0.456, 0.143)
O (0.866, 0.859, 0.413)
O (0.778, 0.246, 0.274)
O (0.187, 0.281, 0.737)
O (0.410, 0.320, 0.004)
O (0.249, 0.741, 0.731)
O (0.182, 0.616, 0.967)
O (0.094, 0.988, 0.327)
O (0.312, 0.053, 0.701)
O (0.738, 0.446, 0.872)
O (0.183, 0.579, 0.469)
O (0.035, 0.737, 0.078)
O (0.213, 0.755, 0.224)
O (0.339, 0.531, 0.360)
O (0.361, 0.810, 0.400)
O (0.118, 0.161, 0.091)
O (0.949, 0.244, 0.912)
O (0.685, 0.948, 0.796)
O (0.594, 0.684, 0.497)
O (0.266, 0.553, 0.629)
O (0.283, 0.569, 0.141)
P (0.253, 0.722, 0.644)
P (0.136, 0.132, 0.176)
P (0.131, 0.140, 0.675)
P (0.370, 0.651, 0.430)
P (0.863, 0.859, 0.824)
P (0.746, 0.277, 0.856)
P (0.372, 0.655, 0.928)
P (0.633, 0.346, 0.069)
P (0.751, 0.269, 0.357)
P (0.860, 0.873, 0.327)
P (0.248, 0.733, 0.141)
P (0.631, 0.343, 0.570)
Cd (0.148, 0.384, 0.038)
Cd (0.744, 0.729, 0.633)
Cd (0.870, 0.635, 0.460)
Cd (0.509, 0.499, 0.246)
Cd (0.260, 0.261, 0.371)
Cd (0.253, 0.263, 0.871)
Fe (0.353, 0.931, 0.308)
Fe (0.869, 0.623, 0.968)
Fe (0.628, 0.067, 0.688)
Fe (0.136, 0.384, 0.535)
Fe (0.363, 0.932, 0.810)
Fe (0.637, 0.064, 0.186)



(2) is preferred energetically. Next in line: 758 meV/atom higher.



(1)
Below is crystalline LaMn2CdO6 at its relaxed geometry, with properties calculated at the GGA+U level.

Results
calculated density	6.5	g/cm3
total moment	0.70	μB/atom

a b c (Å): 5.540 7.562 5.565
angles (deg): 89.60 90.59 90.46
Fractional positions:
Mn (0.999, 0.499, 0.000)
Mn (0.499, 0.000, 0.500)
Mn (0.501, 0.500, 0.501)
Mn (0.001, 0.000, 0.000)
O (0.202, 0.543, 0.715)
O (0.791, 0.469, 0.278)
O (0.001, 0.751, 0.083)
O (0.702, 0.043, 0.215)
O (0.499, 0.749, 0.431)
O (0.999, 0.249, 0.932)
O (0.291, 0.969, 0.778)
O (0.788, 0.959, 0.702)
O (0.218, 0.030, 0.291)
O (0.718, 0.530, 0.791)
O (0.501, 0.251, 0.583)
O (0.288, 0.459, 0.202)
Cd (0.500, 0.251, 0.998)
Cd (0.000, 0.751, 0.498)
La (0.501, 0.749, 0.001)
La (0.000, 0.249, 0.501)



(2)
Below is crystalline LaMn2CdO6 at its relaxed geometry, with properties calculated at the GGA+U level.

Results
calculated density	6.5	g/cm3

a b c (Å): 5.476 5.476 5.476
angles (deg): 60.30 60.30 60.30
Fractional positions:
O (0.935, 0.065, 0.500)
O (0.417, 0.000, 0.583)
O (0.500, 0.935, 0.065)
O (0.065, 0.500, 0.935)
O (0.583, 0.417, 0.000)
O (0.000, 0.583, 0.417)
Cd (0.000, 0.000, 0.000)
La (0.500, 0.500, 0.500)
Mn (0.250, 0.250, 0.250)
Mn (0.750, 0.750, 0.750)



(3)
Below is crystalline LaMn2CdO6 at its relaxed geometry, with properties calculated at the GGA+U level.

Results
calculated density	6.5	g/cm3
total moment	0.70	μB/atom

a b c (Å): 5.555 5.357 5.506
angles (deg): 61.37 58.25 61.74
Fractional positions:
O (0.856, 0.227, 0.681)
O (0.163, 0.769, 0.301)
O (0.247, 0.666, 0.838)
O (0.320, 0.177, 0.758)
O (0.665, 0.839, 0.246)
O (0.752, 0.318, 0.179)
Mn (0.497, 0.502, 0.499)
Mn (0.001, 0.001, 0.000)
Cd (0.253, 0.248, 0.246)
La (0.746, 0.753, 0.753)



(2) is preferred energetically. Next in line: 6 meV/atom higher.



(1)
Below is crystalline Sr2LiCdWO6 at its relaxed geometry, with properties calculated at the GGA+U level.

Results
calculated density	6.0	g/cm3
total moment	0.09	μB/atom

a b c (Å): 6.203 6.661 5.446
angles (deg): 118.68 110.70 103.97
Fractional positions:
O (0.687, 0.851, 0.037)
O (0.847, 0.687, 0.506)
O (0.153, 0.313, 0.494)
O (0.313, 0.149, 0.963)
O (0.834, 0.161, 0.843)
O (0.166, 0.839, 0.157)
Li (0.000, 0.000, 0.500)
Sr (0.718, 0.277, 0.459)
Sr (0.282, 0.723, 0.541)
W (0.000, 0.000, 0.000)
Cd (0.500, 0.500, 0.000)



(2)
Below is crystalline Sr2LiCdWO6 at its relaxed geometry, with properties calculated at the GGA+U level.

Results
calculated density	6.1	g/cm3
total moment	0.09	μB/atom

a b c (Å): 5.989 6.008 6.100
angles (deg): 120.35 120.26 88.49
Fractional positions:
O (0.699, 0.824, 0.000)
O (0.179, 0.702, 0.000)
O (0.844, 0.312, 0.000)
O (0.205, 0.212, 0.451)
O (0.290, 0.159, 0.000)
O (0.754, 0.761, 0.549)
Li (0.412, 0.882, 0.000)
Sr (0.801, 0.307, 0.567)
Sr (0.234, 0.740, 0.433)
W (0.986, 0.005, 0.000)
Cd (0.507, 0.464, 0.000)



(1) is preferred energetically. Next in line: 52 meV/atom higher.



(1)
Below is crystalline MgMn4Cd2O8 at its relaxed geometry, with properties calculated at the GGA+U level.

Results
calculated density	5.3	g/cm3
total moment	1.20	μB/atom

a b c (Å): 5.967 6.419 6.518
angles (deg): 117.90 117.26 90.16
Fractional positions:
Mn (0.009, 0.982, 0.018)
Mn (0.523, 0.003, 0.546)
Mn (0.024, 0.003, 0.546)
Mn (0.000, 0.490, 0.000)
O (0.254, 0.212, 0.999)
O (0.276, 0.755, 0.028)
O (0.787, 0.816, 0.573)
O (0.747, 0.214, 0.999)
O (0.768, 0.202, 0.531)
O (0.750, 0.755, 0.027)
O (0.233, 0.766, 0.468)
O (0.239, 0.164, 0.477)
Cd (0.323, 0.551, 0.652)
Cd (0.572, 0.518, 0.143)
Mg (0.557, 0.048, 0.114)



(2)
Below is crystalline MgMn4Cd2O8 at its relaxed geometry, with properties calculated at the GGA+U level.

Results
calculated density	5.1	g/cm3
total moment	1.20	μB/atom

a b c (Å): 6.682 6.348 6.629
angles (deg): 120.93 123.09 85.59
Fractional positions:
Mg (0.156, 0.407, 0.294)
Mn (0.004, 0.988, 0.485)
Mn (0.940, 0.918, 0.890)
Mn (0.478, 0.991, 0.483)
Mn (0.927, 0.460, 0.860)
O (0.244, 0.782, 0.533)
O (0.223, 0.763, 0.052)
O (0.748, 0.178, 0.433)
O (0.827, 0.779, 0.057)
O (0.689, 0.754, 0.454)
O (0.284, 0.247, 0.511)
O (0.773, 0.233, 0.943)
O (0.170, 0.215, 0.937)
Cd (0.576, 0.325, 0.147)
Cd (0.448, 0.699, 0.902)



(1) is preferred energetically. Next in line: 73 meV/atom higher.



(1)
Below is crystalline MgCd2Ni4O8 at its relaxed geometry, with properties calculated at the GGA+U level.

Results
calculated density	5.8	g/cm3
total moment	0.00	μB/atom

a b c (Å): 6.358 6.403 6.294
angles (deg): 59.58 87.20 119.48
Fractional positions:
Ni (0.374, 0.260, 0.377)
Ni (0.325, 0.727, 0.861)
Ni (0.372, 0.739, 0.378)
Ni (0.835, 0.256, 0.305)
O (0.156, 0.762, 0.588)
O (0.565, 0.181, 0.155)
O (0.608, 0.797, 0.634)
O (0.616, 0.736, 0.175)
O (0.125, 0.683, 0.129)
O (0.153, 0.314, 0.142)
O (0.171, 0.297, 0.611)
O (0.582, 0.176, 0.622)
Cd (0.119, 0.034, 0.051)
Cd (0.728, 0.510, 0.707)
Mg (0.792, 0.029, 0.786)



(2)
Below is crystalline MgCd2Ni4O8 at its relaxed geometry, with properties calculated at the GGA+U level.

Results
calculated density	6.0	g/cm3
total moment	0.40	μB/atom

a b c (Å): 6.290 6.102 5.800
angles (deg): 61.63 90.20 115.88
Fractional positions:
O (0.212, 0.840, 0.080)
O (0.117, 0.279, 0.609)
O (0.603, 0.248, 0.615)
O (0.572, 0.758, 0.624)
O (0.603, 0.251, 0.140)
O (0.210, 0.849, 0.576)
O (0.522, 0.698, 0.152)
O (0.116, 0.280, 0.110)
Ni (0.356, 0.271, 0.365)
Ni (0.384, 0.796, 0.355)
Ni (0.383, 0.795, 0.851)
Ni (0.844, 0.209, 0.396)
Mg (0.393, 0.306, 0.848)
Cd (0.895, 0.428, 0.787)
Cd (0.896, 0.877, 0.054)



(3)
Below is crystalline MgCd2Ni4O8 at its relaxed geometry, with properties calculated at the GGA+U level.

Results
calculated density	5.1	g/cm3
total moment	0.40	μB/atom

a b c (Å): 5.915 7.086 5.915
angles (deg): 65.35 89.97 114.65
Fractional positions:
O (0.631, 0.261, 0.581)
O (0.158, 0.739, 0.631)
O (0.631, 0.261, 0.158)
O (0.122, 0.698, 0.151)
O (0.581, 0.739, 0.631)
O (0.150, 0.302, 0.577)
O (0.577, 0.698, 0.151)
O (0.151, 0.302, 0.122)
Ni (0.415, 0.341, 0.330)
Ni (0.926, 0.340, 0.330)
Ni (0.330, 0.659, 0.415)
Ni (0.330, 0.659, 0.926)
Mg (0.500, 0.000, 0.500)
Cd (0.000, 0.000, 0.000)
Cd (0.750, 0.500, 0.750)



(2) is preferred energetically. Next in line: 75 meV/atom higher.



(1)
Below is crystalline Mg6VCdO8 at its relaxed geometry, with properties calculated at the GGA+U level.

Results
calculated density	4.3	g/cm3
total moment	0.19	μB/atom

a b c (Å): 8.702 4.384 4.384
angles (deg): 90.00 90.00 90.00
Fractional positions:
O (0.500, 0.500, 0.000)
O (0.745, 0.000, 0.000)
O (0.500, 0.000, 0.500)
O (0.733, 0.500, 0.500)
O (0.000, 0.500, 0.000)
O (0.267, 0.500, 0.500)
O (0.000, 0.000, 0.500)
O (0.255, 0.000, 0.000)
Mg (0.500, 0.500, 0.500)
Mg (0.743, 0.500, 0.000)
Mg (0.500, 0.000, 0.000)
Mg (0.743, 0.000, 0.500)
Mg (0.257, 0.500, 0.000)
Mg (0.257, 0.000, 0.500)
Cd (0.000, 0.500, 0.500)
V (0.000, 0.000, 0.000)



(2)
Below is crystalline Mg6VCdO8 at its relaxed geometry, with properties calculated at the GGA+U level.

Results
calculated density	4.3	g/cm3
total moment	0.19	μB/atom

a b c (Å): 8.793 4.374 4.374
angles (deg): 90.00 90.00 90.00
Fractional positions:
Mg (0.500, 0.500, 0.500)
Mg (0.246, 0.000, 0.500)
Mg (0.246, 0.500, 0.000)
Mg (0.754, 0.500, 0.000)
Mg (0.754, 0.000, 0.500)
Mg (0.000, 0.500, 0.500)
Cd (0.500, 0.000, 0.000)
O (0.000, 0.000, 0.500)
O (0.750, 0.500, 0.500)
O (0.000, 0.500, 0.000)
O (0.240, 0.000, 0.000)
O (0.500, 0.500, 0.000)
O (0.500, 0.000, 0.500)
O (0.760, 0.000, 0.000)
O (0.250, 0.500, 0.500)
V (0.000, 0.000, 0.000)



(1) is preferred energetically. Next in line: 9 meV/atom higher.